Computed, not measured: Na2TlHg after structural relaxation at the PBE-GGA level of DFT.

```
Na2TlHg
1.0
7.573 0.000 0.000
0.000 7.573 0.000
0.000 0.000 7.573
Na Tl Hg
8 4 4
direct
0.000 0.000 0.000
0.000 0.500 0.500
0.250 0.250 0.250
0.250 0.750 0.750
0.500 0.000 0.500
0.500 0.500 0.000
0.750 0.250 0.750
0.750 0.750 0.250
0.250 0.250 0.750
0.250 0.750 0.250
0.750 0.250 0.250
0.750 0.750 0.750
0.000 0.000 0.500
0.000 0.500 0.000
0.500 0.000 0.000
0.500 0.500 0.500
```

Output
total energy = -1.51 eV per atom
E_form = -0.1802 eV per atom